# Rb4Sn2Au7 (meta-GGA r2SCAN, optimized geometry)
data_Rb4Sn2Au7
_symmetry_space_group_name_H-M 'R -3 m'
_symmetry_Int_Tables_number 166
_symmetry_space_group_name_Hall '-R 3 2"'
_cell_length_a 6.8653
_cell_length_b 6.8653
_cell_length_c 29.1371
_cell_angle_alpha 90.00
_cell_angle_beta 90.00
_cell_angle_gamma 120.00
loop_
_atom_site_label
_atom_site_fract_x
_atom_site_fract_y
_atom_site_fract_z
Rb1 0.0000 0.0000 0.1842
Rb2 0.0000 0.0000 0.3116
Sn1 0.0000 0.0000 0.0499
Au1 0.0000 0.0000 0.5000
Au2 0.0633 0.5316 0.2443
# Energy relative to the elements: -0.40 eV/atom
# E: -35.727 eV/atom